Record 1
Entry from Materials Project: an optimized crystal structure of Ba2Ta15O32 (meta-GGA r2SCAN).

Calculated values
Magnetization ... 0.00 Bohr magnetons per cell
Calculated formation energy ... -3.008 eV per atom
Space group ... R-3, No. 148

Cell and atoms, written as CIF:
```
data_Ba2Ta15O32
_chemical_formula_sum 'Ba2 Ta15 O32'
_cell_length_a 12.711
_cell_length_b 12.711
_cell_length_c 12.711
_cell_angle_alpha 35.79
_cell_angle_beta 35.79
_cell_angle_gamma 35.79
_symmetry_space_group_name_H-M 'P 1'
_symmetry_Int_Tables_number 1
loop_
_symmetry_equiv_pos_as_xyz
'x,y,z'
loop_
_atom_site_label
_atom_site_fract_x
_atom_site_fract_y
_atom_site_fract_z
O1 0.236 0.042 0.817
O2 0.468 0.352 0.059
Ta1 0.000 0.000 0.000
Ta2 0.470 0.927 0.806
O3 0.071 0.667 0.761
Ta3 0.318 0.723 0.556
Ta4 0.556 0.318 0.723
O4 0.637 0.461 0.196
Ta5 0.806 0.470 0.927
O5 0.183 0.764 0.958
O6 0.761 0.071 0.667
Ba1 0.640 0.640 0.640
O7 0.532 0.648 0.941
Ta6 0.723 0.556 0.318
O8 0.045 0.340 0.927
O9 0.539 0.804 0.363
Ta7 0.861 0.861 0.861
Ta8 0.444 0.682 0.277
Ta9 0.073 0.194 0.530
O10 0.929 0.333 0.239
O11 0.764 0.958 0.183
Ta10 0.139 0.139 0.139
O12 0.340 0.927 0.045
O13 0.073 0.955 0.660
Ta11 0.277 0.444 0.682
O14 0.461 0.196 0.637
Ta12 0.530 0.073 0.194
O15 0.333 0.239 0.929
O16 0.762 0.762 0.762
O17 0.648 0.941 0.532
O18 0.804 0.363 0.539
Ta13 0.194 0.530 0.073
O19 0.941 0.532 0.648
O20 0.958 0.183 0.764
O21 0.363 0.539 0.804
O22 0.817 0.236 0.042
O23 0.238 0.238 0.238
O24 0.660 0.073 0.955
O25 0.927 0.045 0.340
Ta14 0.682 0.277 0.444
O26 0.667 0.761 0.071
O27 0.196 0.637 0.461
O28 0.059 0.468 0.352
Ta15 0.927 0.806 0.470
Ba2 0.360 0.360 0.360
O29 0.955 0.660 0.073
O30 0.239 0.929 0.333
O31 0.042 0.817 0.236
O32 0.352 0.059 0.468
```

Record 2
Entry from Materials Project: an optimized crystal structure of Ba5Ta4O15 (meta-GGA r2SCAN).

Calculated values
Magnetization ... 0.00 Bohr magnetons per cell
Calculated formation energy ... -3.280 eV per atom
Space group ... P-3m1, No. 164

Cell and atoms, written as CIF:
```
data_Ba5Ta4O15
_chemical_formula_sum 'Ba5 Ta4 O15'
_cell_length_a 5.820
_cell_length_b 5.820
_cell_length_c 11.885
_cell_angle_alpha 90.00
_cell_angle_beta 90.00
_cell_angle_gamma 120.00
_symmetry_space_group_name_H-M 'P 1'
_symmetry_Int_Tables_number 1
loop_
_symmetry_equiv_pos_as_xyz
'x,y,z'
loop_
_atom_site_label
_atom_site_fract_x
_atom_site_fract_y
_atom_site_fract_z
Ba1 0.667 0.333 0.569
O1 0.674 0.837 0.614
Ta1 0.000 0.000 0.686
Ba2 0.333 0.667 0.789
Ba3 0.000 0.000 0.000
Ba4 0.333 0.667 0.431
O2 0.837 0.163 0.386
O3 0.500 0.000 0.000
Ba5 0.667 0.333 0.211
O4 0.339 0.169 0.809
O5 0.163 0.837 0.614
O6 0.163 0.326 0.614
Ta2 0.000 0.000 0.314
O7 0.831 0.661 0.809
O8 0.661 0.831 0.191
Ta3 0.333 0.667 0.104
O9 0.169 0.339 0.191
O10 0.169 0.831 0.191
Ta4 0.667 0.333 0.896
O11 0.500 0.500 0.000
O12 0.326 0.163 0.386
O13 0.000 0.500 0.000
O14 0.831 0.169 0.809
O15 0.837 0.674 0.386
```

Record 3
Entry from Materials Project: an optimized crystal structure of Ba2YbTaO6 (meta-GGA r2SCAN).

Calculated values
Magnetization ... 0.00 Bohr magnetons per cell
Calculated formation energy ... -3.510 eV per atom
Space group ... Fm-3m, No. 225

Cell and atoms, written as CIF:
```
data_Ba2YbTaO6
_chemical_formula_sum 'Ba2 Yb1 Ta1 O6'
_cell_length_a 5.936
_cell_length_b 5.936
_cell_length_c 5.936
_cell_angle_alpha 60.00
_cell_angle_beta 60.00
_cell_angle_gamma 60.00
_symmetry_space_group_name_H-M 'P 1'
_symmetry_Int_Tables_number 1
loop_
_symmetry_equiv_pos_as_xyz
'x,y,z'
loop_
_atom_site_label
_atom_site_fract_x
_atom_site_fract_y
_atom_site_fract_z
O1 0.762 0.238 0.762
O2 0.762 0.238 0.238
Ta1 0.000 0.000 0.000
O3 0.762 0.762 0.238
Yb1 0.500 0.500 0.500
O4 0.238 0.762 0.762
Ba1 0.750 0.750 0.750
O5 0.238 0.762 0.238
O6 0.238 0.238 0.762
Ba2 0.250 0.250 0.250
```

Record 4
Entry from Materials Project: an optimized crystal structure of BaTb2O4 (meta-GGA r2SCAN).

Calculated values
Magnetization ... 0.00 Bohr magnetons per cell
Calculated formation energy ... -3.583 eV per atom
Space group ... Pnma, No. 62

Cell and atoms, written as CIF:
```
data_BaTb2O4
_chemical_formula_sum 'Ba4 Tb8 O16'
_cell_length_a 3.481
_cell_length_b 10.463
_cell_length_c 12.174
_cell_angle_alpha 90.00
_cell_angle_beta 90.00
_cell_angle_gamma 90.00
_symmetry_space_group_name_H-M 'P 1'
_symmetry_Int_Tables_number 1
loop_
_symmetry_equiv_pos_as_xyz
'x,y,z'
loop_
_atom_site_label
_atom_site_fract_x
_atom_site_fract_y
_atom_site_fract_z
O1 0.750 0.790 0.160
O2 0.250 0.210 0.840
O3 0.750 0.384 0.018
Tb1 0.750 0.075 0.889
O4 0.750 0.570 0.426
O5 0.750 0.981 0.717
Tb2 0.250 0.425 0.389
O6 0.750 0.290 0.340
Tb3 0.750 0.578 0.110
Tb4 0.250 0.922 0.610
Ba1 0.750 0.747 0.851
O7 0.250 0.710 0.660
Tb5 0.750 0.078 0.390
Ba2 0.750 0.247 0.649
O8 0.750 0.884 0.482
O9 0.250 0.430 0.574
O10 0.250 0.930 0.926
Tb6 0.250 0.925 0.111
O11 0.250 0.616 0.982
Ba3 0.250 0.753 0.351
O12 0.250 0.019 0.283
O13 0.750 0.070 0.074
Tb7 0.750 0.575 0.611
Tb8 0.250 0.422 0.890
O14 0.250 0.519 0.217
Ba4 0.250 0.253 0.149
O15 0.250 0.116 0.518
O16 0.750 0.481 0.783
```

Record 5
Entry from Materials Project: an optimized crystal structure of BaTe2O6 (meta-GGA r2SCAN).

Calculated values
Magnetization ... 0.00 Bohr magnetons per cell
Calculated formation energy ... -1.712 eV per atom
Space group ... Cmcm, No. 63

Cell and atoms, written as CIF:
```
data_BaTe2O6
_chemical_formula_sum 'Ba2 Te4 O12'
_cell_length_a 5.593
_cell_length_b 7.023
_cell_length_c 7.349
_cell_angle_alpha 90.00
_cell_angle_beta 90.00
_cell_angle_gamma 113.47
_symmetry_space_group_name_H-M 'P 1'
_symmetry_Int_Tables_number 1
loop_
_symmetry_equiv_pos_as_xyz
'x,y,z'
loop_
_atom_site_label
_atom_site_fract_x
_atom_site_fract_y
_atom_site_fract_z
Ba1 0.281 0.562 0.750
O1 0.047 0.094 0.250
O2 0.953 0.906 0.750
Te1 0.000 0.000 0.500
O3 0.273 0.547 0.250
Te2 0.585 0.170 0.750
Ba2 0.719 0.438 0.250
Te3 0.415 0.830 0.250
O4 0.659 0.791 0.455
O5 0.132 0.791 0.455
O6 0.727 0.453 0.750
O7 0.341 0.209 0.955
O8 0.132 0.791 0.045
O9 0.659 0.791 0.045
O10 0.868 0.209 0.545
O11 0.868 0.209 0.955
O12 0.341 0.209 0.545
Te4 0.000 0.000 0.000
```

Record 6
Entry from Materials Project: an optimized crystal structure of BaTeO4 (meta-GGA r2SCAN).

Calculated values
Magnetization ... 0.00 Bohr magnetons per cell
Calculated formation energy ... -1.961 eV per atom
Space group ... Pbcn, No. 60

Cell and atoms, written as CIF:
```
data_BaTeO4
_chemical_formula_sum 'Ba4 Te4 O16'
_cell_length_a 5.062
_cell_length_b 6.000
_cell_length_c 13.690
_cell_angle_alpha 90.00
_cell_angle_beta 90.00
_cell_angle_gamma 90.00
_symmetry_space_group_name_H-M 'P 1'
_symmetry_Int_Tables_number 1
loop_
_symmetry_equiv_pos_as_xyz
'x,y,z'
loop_
_atom_site_label
_atom_site_fract_x
_atom_site_fract_y
_atom_site_fract_z
Ba1 0.250 0.500 0.664
O1 0.073 0.827 0.540
O2 0.147 0.793 0.340
O3 0.927 0.173 0.460
Te1 0.250 0.000 0.433
O4 0.853 0.207 0.660
O5 0.647 0.793 0.660
O6 0.573 0.827 0.460
O7 0.147 0.707 0.840
O8 0.427 0.173 0.540
O9 0.573 0.673 0.960
Ba2 0.750 0.500 0.336
O10 0.073 0.673 0.040
O11 0.353 0.207 0.340
Ba3 0.250 0.000 0.164
Te2 0.750 0.000 0.567
O12 0.927 0.327 0.960
O13 0.853 0.293 0.160
Te3 0.750 0.500 0.067
Te4 0.250 0.500 0.933
O14 0.353 0.293 0.840
O15 0.427 0.327 0.040
O16 0.647 0.707 0.160
Ba4 0.750 0.000 0.836
```

Record 7
Entry from Materials Project: an optimized crystal structure of Ba2TeO (meta-GGA r2SCAN).

Calculated values
Magnetization ... 0.00 Bohr magnetons per cell
Calculated formation energy ... -2.399 eV per atom
Space group ... P4/nmm, No. 129

Cell and atoms, written as CIF:
```
data_Ba2TeO
_chemical_formula_sum 'Ba4 Te2 O2'
_cell_length_a 5.097
_cell_length_b 5.097
_cell_length_c 10.135
_cell_angle_alpha 90.00
_cell_angle_beta 90.00
_cell_angle_gamma 90.00
_symmetry_space_group_name_H-M 'P 1'
_symmetry_Int_Tables_number 1
loop_
_symmetry_equiv_pos_as_xyz
'x,y,z'
loop_
_atom_site_label
_atom_site_fract_x
_atom_site_fract_y
_atom_site_fract_z
Te1 0.000 0.500 0.800
Ba1 0.000 0.500 0.166
Te2 0.500 0.000 0.200
Ba2 0.000 0.000 0.500
Ba3 0.500 0.500 0.500
O1 0.000 0.500 0.411
Ba4 0.500 0.000 0.834
O2 0.500 0.000 0.589
```

Record 8
Entry from Materials Project: an optimized crystal structure of Ba3Yb2TeO5 (meta-GGA r2SCAN).

Calculated values
Magnetization ... 0.00 Bohr magnetons per cell
Calculated formation energy ... -3.224 eV per atom
Space group ... P4/mmm, No. 123

Cell and atoms, written as CIF:
```
data_Ba3Yb2TeO5
_chemical_formula_sum 'Ba3 Yb2 Te1 O5'
_cell_length_a 4.364
_cell_length_b 4.364
_cell_length_c 11.835
_cell_angle_alpha 90.00
_cell_angle_beta 90.00
_cell_angle_gamma 90.00
_symmetry_space_group_name_H-M 'P 1'
_symmetry_Int_Tables_number 1
loop_
_symmetry_equiv_pos_as_xyz
'x,y,z'
loop_
_atom_site_label
_atom_site_fract_x
_atom_site_fract_y
_atom_site_fract_z
Yb1 0.500 0.500 0.825
O1 0.500 0.500 0.000
O2 0.500 0.000 0.803
Te1 0.500 0.500 0.500
O3 0.000 0.500 0.197
Ba1 0.000 0.000 0.336
O4 0.000 0.500 0.803
Ba2 0.000 0.000 0.000
Yb2 0.500 0.500 0.175
O5 0.500 0.000 0.197
Ba3 0.000 0.000 0.664
```

Record 9
Entry from Materials Project: an optimized crystal structure of Ba3Ti20O40 (meta-GGA r2SCAN).

Calculated values
Magnetization ... 6.13 Bohr magnetons per cell
Calculated formation energy ... -3.328 eV per atom
Space group ... C2/m, No. 12

Cell and atoms, written as CIF:
```
data_Ba3Ti20O40
_chemical_formula_sum 'Ba3 Ti20 O40'
_cell_length_a 10.276
_cell_length_b 10.276
_cell_length_c 10.032
_cell_angle_alpha 61.29
_cell_angle_beta 61.29
_cell_angle_gamma 92.24
_symmetry_space_group_name_H-M 'P 1'
_symmetry_Int_Tables_number 1
loop_
_symmetry_equiv_pos_as_xyz
'x,y,z'
loop_
_atom_site_label
_atom_site_fract_x
_atom_site_fract_y
_atom_site_fract_z
O1 0.857 0.455 0.386
O2 0.757 0.159 0.714
O3 0.243 0.841 0.286
Ti1 0.873 0.470 0.182
Ti2 0.254 0.449 0.482
Ti3 0.746 0.551 0.518
Ba1 0.633 0.367 0.000
Ti4 0.551 0.746 0.518
O4 0.304 0.109 0.947
O5 0.860 0.458 0.645
O6 0.455 0.857 0.386
O7 0.140 0.542 0.355
O8 0.346 0.346 0.343
O9 0.655 0.655 0.379
Ti5 0.345 0.940 0.533
O10 0.261 0.058 0.381
Ti6 0.470 0.873 0.182
O11 0.058 0.261 0.381
O12 0.545 0.143 0.614
O13 0.458 0.860 0.645
Ti7 0.154 0.154 0.507
O14 0.437 0.644 0.278
O15 0.257 0.062 0.641
O16 0.159 0.757 0.714
O17 0.654 0.654 0.657
Ti8 0.530 0.127 0.818
Ti9 0.846 0.846 0.493
Ba2 0.367 0.633 0.000
Ti10 0.344 0.344 0.815
Ti11 0.739 0.932 0.817
O18 0.356 0.563 0.722
O19 0.096 0.498 0.051
O20 0.942 0.739 0.619
O21 0.563 0.356 0.722
O22 0.109 0.304 0.947
O23 0.743 0.938 0.359
Ti12 0.656 0.656 0.185
O24 0.036 0.036 0.286
O25 0.891 0.696 0.053
O26 0.841 0.243 0.286
O27 0.739 0.942 0.619
Ti13 0.940 0.345 0.533
O28 0.695 0.695 0.949
O29 0.964 0.964 0.714
O30 0.938 0.743 0.359
Ti14 0.261 0.068 0.183
O31 0.904 0.502 0.949
Ti15 0.932 0.739 0.817
Ba3 0.000 0.000 0.000
O32 0.696 0.891 0.053
O33 0.345 0.345 0.621
O34 0.644 0.437 0.278
Ti16 0.449 0.254 0.482
Ti17 0.127 0.530 0.818
O35 0.305 0.305 0.051
O36 0.502 0.904 0.949
O37 0.062 0.257 0.641
O38 0.143 0.545 0.614
Ti18 0.655 0.060 0.467
Ti19 0.068 0.261 0.183
O39 0.498 0.096 0.051
O40 0.542 0.140 0.355
Ti20 0.060 0.655 0.467
```

Record 10
Entry from Materials Project: an optimized crystal structure of Ba2TiO4 (meta-GGA r2SCAN).

Calculated values
Magnetization ... 0.00 Bohr magnetons per cell
Calculated formation energy ... -3.234 eV per atom
Space group ... P2_1/c, No. 14

Cell and atoms, written as CIF:
```
data_Ba2TiO4
_chemical_formula_sum 'Ba8 Ti4 O16'
_cell_length_a 7.728
_cell_length_b 6.174
_cell_length_c 11.919
_cell_angle_alpha 62.53
_cell_angle_beta 90.00
_cell_angle_gamma 90.00
_symmetry_space_group_name_H-M 'P 1'
_symmetry_Int_Tables_number 1
loop_
_symmetry_equiv_pos_as_xyz
'x,y,z'
loop_
_atom_site_label
_atom_site_fract_x
_atom_site_fract_y
_atom_site_fract_z
O1 0.508 0.279 0.934
Ba1 0.158 0.693 0.075
O2 0.008 0.721 0.566
O3 0.180 0.259 0.071
O4 0.492 0.721 0.066
O5 0.740 0.333 0.689
O6 0.992 0.279 0.434
O7 0.820 0.741 0.929
O8 0.760 0.333 0.189
Ti1 0.220 0.344 0.417
O9 0.260 0.667 0.311
O10 0.825 0.855 0.139
Ti2 0.720 0.656 0.083
O11 0.175 0.145 0.861
Ba2 0.658 0.307 0.425
Ba3 0.342 0.693 0.575
Ba4 0.501 0.975 0.801
O12 0.675 0.855 0.639
Ba5 0.001 0.025 0.699
Ti3 0.780 0.656 0.583
Ba6 0.842 0.307 0.925
Ti4 0.280 0.344 0.917
O13 0.325 0.145 0.361
Ba7 0.499 0.025 0.199
Ba8 0.999 0.975 0.301
O14 0.320 0.259 0.571
O15 0.240 0.667 0.811
O16 0.680 0.741 0.429
```

Record 11
Entry from Materials Project: an optimized crystal structure of Ba2Ti6O13 (meta-GGA r2SCAN).

Calculated values
Magnetization ... 1.29 Bohr magnetons per cell
Calculated formation energy ... -3.340 eV per atom
Space group ... C2/m, No. 12

Cell and atoms, written as CIF:
```
data_Ba2Ti6O13
_chemical_formula_sum 'Ba2 Ti6 O13'
_cell_length_a 7.777
_cell_length_b 7.777
_cell_length_c 9.106
_cell_angle_alpha 82.16
_cell_angle_beta 82.16
_cell_angle_gamma 29.53
_symmetry_space_group_name_H-M 'P 1'
_symmetry_Int_Tables_number 1
loop_
_symmetry_equiv_pos_as_xyz
'x,y,z'
loop_
_atom_site_label
_atom_site_fract_x
_atom_site_fract_y
_atom_site_fract_z
O1 0.674 0.674 0.080
Ti1 0.378 0.378 0.100
O2 0.126 0.126 0.889
Ti2 0.669 0.669 0.556
Ba1 0.948 0.948 0.779
Ti3 0.331 0.331 0.444
Ti4 0.252 0.252 0.777
O3 0.259 0.259 0.246
Ba2 0.052 0.052 0.221
Ti5 0.622 0.622 0.900
Ti6 0.748 0.748 0.223
O4 0.741 0.741 0.754
O5 0.429 0.429 0.302
O6 0.500 0.500 0.000
O7 0.369 0.369 0.622
O8 0.631 0.631 0.378
O9 0.571 0.571 0.698
O10 0.874 0.874 0.111
O11 0.801 0.801 0.431
O12 0.199 0.199 0.569
O13 0.326 0.326 0.920
```

> Look up the calculated formation energy of the eleventh one.

-3.340 eV per atom

> Which value of calculated formation energy does entry 4 give?

-3.583 eV per atom

> magnetization of number 8 (Ba3Yb2TeO5)?

0.00 Bohr magnetons per cell